# 1
52
Lattice="8.650 0.000 0.000 0.000 9.841 0.000 -2.673 0.000 7.332" Properties=species:S:1:pos:R:3 comment="SnH4C2NO4F, relaxed, DFT GGA-PBE" spacegroup="No. 14" ef_ev_per_atom=-1.307 pbc="T T T"
Sn -0.257 1.839 3.626
Sn -1.594 3.082 7.292
Sn 7.570 6.759 0.041
Sn 6.234 8.002 3.707
H 1.506 7.253 3.874
H 2.843 7.509 0.207
H 2.667 6.160 1.234
H 1.330 8.602 4.900
H 4.108 6.394 0.309
H 2.771 8.367 3.975
H 2.241 2.443 5.711
H 3.578 2.478 2.044
H 2.399 7.364 5.288
H 3.736 7.398 1.622
H 3.205 1.474 3.357
H 1.869 3.447 7.024
H 4.647 1.239 2.432
H 3.310 3.681 6.098
H 3.134 2.332 7.125
H 4.470 2.589 3.459
C 1.408 0.103 0.895
C 0.071 4.818 4.561
C -0.575 0.158 6.823
C 0.761 4.763 3.157
C 5.215 5.079 4.176
C 6.552 9.683 0.509
C 5.905 5.023 2.771
C 4.569 9.739 6.437
N 3.336 6.840 0.838
N 1.999 7.922 4.504
N 3.977 1.920 2.828
N 2.641 3.001 6.494
O 0.998 1.259 1.338
O -0.339 3.661 5.004
O -0.649 1.294 6.211
O 0.687 3.626 2.545
O -0.046 5.899 5.150
O 1.290 8.863 1.484
O 1.325 5.782 2.712
O -0.012 8.980 6.378
O 5.988 0.861 0.955
O 4.652 4.059 4.621
O 4.686 0.978 5.849
O 6.023 3.943 2.183
O 5.289 6.215 4.787
O 6.626 8.547 1.121
O 6.315 6.180 2.329
O 4.979 8.582 5.995
F 1.686 1.456 4.346
F 3.022 3.464 0.679
F 2.954 6.377 6.653
F 4.291 8.385 2.987

---

# 2
41
Lattice="-4.100 4.100 5.784 4.100 -4.100 5.784 4.100 4.100 -5.784" Properties=species:S:1:pos:R:3 comment="H24PtC8N2F6, relaxed, DFT GGA-PBE" spacegroup="No. 87" ef_ev_per_atom=-0.547 pbc="T T T"
H 3.742 -2.077 3.110
H 3.074 1.175 -1.453
H 2.784 -0.601 1.351
H 6.178 -0.358 2.674
H 5.417 0.601 1.351
H 4.701 -1.317 4.433
H 2.925 -1.026 4.331
H 3.074 1.175 1.453
H 2.023 0.358 2.674
H 0.601 2.784 1.351
H -0.358 2.023 2.674
H 1.175 5.127 -1.453
H 2.925 -1.026 7.237
H 4.459 2.077 3.110
H 3.500 1.317 4.433
H 2.077 3.742 3.110
H 1.026 2.925 4.331
H 1.175 5.127 1.453
H -0.601 5.417 1.351
H -1.317 3.500 4.433
H -2.077 4.459 3.110
H 1.317 4.701 4.433
H 1.026 2.925 7.237
H 0.358 6.178 2.674
Pt 0.000 0.000 5.784
C 5.300 -0.256 2.027
C 3.844 -1.199 3.758
C 2.901 0.256 2.027
C 4.357 1.199 3.758
C -0.256 2.901 2.027
C 1.199 3.844 3.758
C 0.256 5.300 2.027
C -1.199 4.357 3.758
N 4.100 0.000 2.892
N 0.000 4.100 2.892
F 5.164 2.433 0.000
F 0.000 0.000 3.806
F 2.433 3.037 0.000
F 1.668 1.064 5.784
F 0.000 0.000 7.762
F -1.064 1.668 5.784

---

# 3
88
Lattice="5.399 0.000 0.000 0.000 9.650 0.000 -0.570 0.000 19.615" Properties=species:S:1:pos:R:3 comment="SbH12C4NF4, relaxed, DFT GGA-PBE" spacegroup="No. 14" ef_ev_per_atom=-0.785 pbc="T T T"
Sb 0.261 0.905 1.573
Sb -0.024 3.920 11.380
Sb 4.853 5.730 8.235
Sb 4.569 8.745 18.042
H 0.918 2.336 5.451
H 0.634 2.489 15.259
H 1.042 5.396 3.942
H 0.757 9.079 13.750
H 0.703 1.612 16.825
H 0.988 3.213 7.017
H 1.074 0.456 6.984
H 0.789 4.369 16.792
H 1.405 4.888 1.248
H 1.120 9.588 11.055
H 1.322 6.893 4.875
H 1.037 7.582 14.683
H 1.528 1.403 8.416
H 1.243 3.422 18.224
H 1.546 7.186 12.427
H 1.831 7.289 2.619
H 1.656 0.912 12.446
H 1.940 3.913 2.639
H 1.821 1.164 15.499
H 2.106 3.661 5.691
H 1.967 5.773 18.465
H 2.252 8.702 8.658
H 2.532 5.581 4.936
H 2.247 8.894 14.743
H 2.582 0.756 4.872
H 2.297 4.069 14.679
H 2.578 0.948 10.957
H 2.863 3.877 1.150
H 2.724 5.989 13.924
H 3.008 8.486 4.117
H 2.889 5.737 16.977
H 3.174 8.738 7.169
H 2.999 2.361 16.996
H 3.283 2.464 7.188
H 3.587 6.228 1.391
H 3.302 8.247 11.199
H 3.793 2.068 4.932
H 3.508 2.757 14.740
H 3.710 0.063 8.560
H 3.425 4.762 18.367
H 4.041 5.281 2.824
H 3.756 9.194 12.631
H 3.842 6.437 12.598
H 4.127 8.038 2.790
H 4.072 0.571 5.865
H 3.787 4.254 15.673
H 4.196 7.161 4.356
H 3.911 7.314 14.164
C 1.286 1.984 15.979
C 1.571 2.841 6.172
C 1.802 6.096 4.301
C 1.517 8.379 14.109
C 1.928 0.843 7.560
C 1.643 3.982 17.367
C 1.998 0.286 11.613
C 2.283 4.539 1.806
C 2.546 5.111 17.809
C 2.831 9.364 8.002
C 3.186 5.668 2.248
C 2.901 8.807 12.055
C 3.313 1.271 5.506
C 3.028 3.554 15.314
C 3.259 6.809 13.443
C 3.544 7.666 3.636
N 2.525 6.695 3.144
N 2.240 7.780 12.951
N 2.589 1.870 6.664
N 2.305 2.955 16.472
F -0.247 2.083 10.576
F 0.038 2.742 0.769
F 0.251 1.753 3.349
F -0.034 3.072 13.157
F 0.621 5.698 12.430
F 0.906 8.777 2.622
F 2.178 1.146 1.317
F 1.894 3.679 11.124
F 2.936 5.971 8.491
F 2.651 8.504 18.298
F 3.924 0.873 16.993
F 4.209 3.952 7.186
F 4.864 6.578 6.459
F 4.579 7.897 16.266
F 4.792 6.908 18.847
F 5.076 7.567 9.039

---

# 4
42
Lattice="7.821 0.000 0.000 0.000 7.845 0.000 -1.491 0.000 10.050" Properties=species:S:1:pos:R:3 comment="Sb2H3CNF14, relaxed, DFT GGA-PBE" spacegroup="No. 11" ef_ev_per_atom=-2.157 pbc="T T T"
Sb -0.480 1.961 3.349
Sb 1.920 1.961 0.260
Sb 4.410 5.884 9.790
Sb 6.811 5.884 6.701
H 1.316 5.031 2.908
H 1.316 6.737 2.908
H 2.293 5.884 1.815
H 4.038 1.961 8.235
H 5.014 1.108 7.142
H 5.014 2.814 7.142
C 3.019 5.884 3.772
C 3.311 1.961 6.278
N 1.900 5.884 2.773
N 4.430 1.961 7.277
F -0.472 5.884 4.881
F 0.170 1.961 1.400
F -0.810 1.961 8.868
F 0.184 4.527 7.249
F 0.184 7.241 7.249
F 0.865 0.615 3.637
F 0.865 3.307 3.637
F 1.792 0.064 0.405
F 1.792 3.858 0.405
F 2.895 1.961 1.886
F 2.499 5.884 5.005
F 1.965 1.961 9.188
F 2.575 0.863 6.468
F 2.575 3.060 6.468
F 3.756 4.785 3.582
F 3.756 6.982 3.582
F 4.365 5.884 0.862
F 3.832 1.961 5.045
F 3.435 5.884 8.164
F 4.539 3.987 9.645
F 4.539 7.781 9.645
F 5.465 4.538 6.413
F 5.465 7.230 6.413
F 6.146 0.604 2.801
F 6.146 3.318 2.801
F 7.140 5.884 1.182
F 6.160 5.884 8.650
F 6.803 1.961 5.168

---

# 5
88
Lattice="5.470 0.000 0.000 0.000 10.024 0.000 -0.658 0.000 18.463" Properties=species:S:1:pos:R:3 comment="SbH12C4NF4, relaxed, DFT GGA-PBE" spacegroup="No. 14" ef_ev_per_atom=-0.711 pbc="T T T"
Sb -0.179 1.491 7.804
Sb -0.508 3.521 17.035
Sb 5.320 6.503 1.428
Sb 4.991 8.533 10.659
H 0.195 6.593 15.745
H 0.524 8.443 6.514
H 1.147 0.764 1.646
H 0.818 4.247 10.878
H 1.042 7.138 4.961
H 0.712 7.898 14.192
H 0.759 2.442 13.092
H 1.089 2.570 3.861
H 1.042 5.412 5.393
H 0.713 9.623 14.625
H 0.882 2.163 11.315
H 1.211 2.849 2.083
H 0.995 5.036 12.453
H 1.324 9.999 3.222
H 1.103 0.221 17.084
H 1.432 4.791 7.853
H 1.943 6.096 10.051
H 2.272 8.939 0.820
H 1.815 1.491 16.067
H 2.144 3.521 6.835
H 2.035 1.380 12.428
H 2.364 3.631 3.197
H 2.331 6.080 4.336
H 2.002 8.956 13.568
H 2.810 1.068 4.895
H 2.481 3.944 14.126
H 2.448 6.392 15.266
H 2.777 8.643 6.035
H 2.668 6.503 11.628
H 2.997 8.533 2.396
H 2.540 1.084 17.643
H 2.869 3.927 8.411
H 3.380 5.232 10.610
H 3.709 9.803 1.379
H 3.488 0.024 15.241
H 3.817 4.988 6.009
H 3.601 7.175 16.379
H 3.930 7.860 7.148
H 4.099 0.401 3.838
H 3.770 4.611 13.070
H 3.723 7.454 14.602
H 4.053 7.582 5.371
H 4.100 2.126 4.271
H 3.770 2.886 13.502
H 3.994 5.776 7.585
H 3.665 9.259 16.816
H 4.288 1.581 11.949
H 4.617 3.431 2.717
C 1.687 6.286 5.224
C 1.357 8.750 14.456
C 1.458 2.300 12.239
C 1.787 2.712 3.007
C 1.892 0.405 2.365
C 1.562 4.607 11.596
C 2.047 0.670 16.749
C 2.376 4.342 7.518
C 2.436 5.682 10.945
C 2.765 9.353 1.713
C 3.250 5.417 6.867
C 2.920 9.619 16.098
C 3.025 7.312 15.455
C 3.354 7.724 6.224
C 3.455 1.274 4.007
C 3.126 3.738 13.238
N 2.467 6.584 6.422
N 2.137 8.451 15.653
N 2.675 1.573 2.809
N 2.346 3.439 12.041
F -0.523 2.053 18.295
F -0.194 2.959 9.064
F -0.328 2.419 15.465
F 0.002 2.592 6.233
F 0.122 5.693 15.460
F 0.451 9.343 6.229
F 1.733 1.231 8.015
F 1.404 3.781 17.247
F 3.408 6.242 1.216
F 3.079 8.793 10.447
F 4.361 0.681 12.234
F 4.690 4.331 3.003
F 4.810 7.431 12.229
F 5.140 7.604 2.998
F 5.006 7.065 9.399
F 5.335 7.971 0.167

---

# 6
52
Lattice="8.002 -4.256 0.000 8.002 4.256 0.000 -5.066 0.000 8.361" Properties=species:S:1:pos:R:3 comment="SbH12C2N6F5, relaxed, DFT GGA-PBE" spacegroup="No. 12" ef_ev_per_atom=-0.956 pbc="T T T"
Sb 1.771 0.000 1.153
Sb 9.167 0.000 7.208
H 0.071 1.182 3.777
H 3.203 2.222 3.094
H -0.692 0.889 7.218
H 5.090 1.184 1.420
H 6.635 2.024 1.625
H 0.071 -1.182 3.777
H 2.360 0.893 6.440
H 4.303 2.024 6.736
H -0.692 -0.889 7.218
H 7.735 2.222 5.267
H 5.848 1.184 6.941
H 2.360 -0.893 6.440
H 8.578 0.893 1.921
H 5.090 -1.184 1.420
H 3.203 -2.222 3.094
H 11.630 0.889 1.143
H 6.635 -2.024 1.625
H 8.578 -0.893 1.921
H 10.866 1.182 4.584
H 4.303 -2.024 6.736
H 5.848 -1.184 6.941
H 11.630 -0.889 1.143
H 7.735 -2.222 5.267
H 10.866 -1.182 4.584
C -0.385 0.000 5.401
C 6.767 0.000 1.659
C 4.171 0.000 6.702
C 11.322 0.000 2.960
N -0.268 1.161 4.741
N -0.618 0.000 6.720
N -0.268 -1.161 4.741
N 6.104 1.159 1.565
N 4.834 1.159 6.796
N 2.846 0.000 6.518
N 8.092 0.000 1.843
N 6.104 -1.159 1.565
N 4.834 -1.159 6.796
N 11.205 1.161 3.620
N 11.555 0.000 1.641
N 11.205 -1.161 3.620
F 2.495 2.799 6.427
F 3.330 1.444 1.111
F 2.311 0.000 3.038
F 8.442 2.799 1.934
F 3.330 -1.444 1.111
F 7.608 1.444 7.250
F 2.495 -2.799 6.427
F 8.626 0.000 5.323
F 7.608 -1.444 7.250
F 8.442 -2.799 1.934

---

# 7
46
Lattice="7.310 0.000 0.000 0.000 9.484 0.000 0.000 0.000 6.407" Properties=species:S:1:pos:R:3 comment="SiH12C2N2F6, relaxed, DFT GGA-PBE" spacegroup="No. 58" ef_ev_per_atom=-1.325 pbc="T T T"
Si 0.000 0.000 0.000
Si 3.655 4.742 3.203
H 0.010 3.406 2.311
H 0.010 3.406 4.096
H 0.943 2.163 3.203
H 1.157 8.225 2.371
H 1.157 8.225 4.036
H 1.613 2.317 0.000
H 2.041 7.059 3.203
H 2.498 3.483 0.833
H 2.498 3.483 5.574
H 2.712 6.905 0.000
H 3.645 8.148 0.893
H 3.645 8.148 5.514
H 3.664 1.336 0.893
H 3.664 1.336 5.514
H 4.597 2.579 0.000
H 4.812 6.001 0.833
H 4.812 6.001 5.574
H 5.268 2.425 3.203
H 5.696 7.167 0.000
H 6.152 1.259 2.371
H 6.152 1.259 4.036
H 6.367 7.321 3.203
H 7.300 6.078 2.311
H 7.300 6.078 4.096
C 0.038 2.777 3.203
C 3.617 7.519 0.000
C 3.693 1.965 0.000
C 7.272 6.707 3.203
N 1.153 7.600 3.203
N 2.501 2.858 0.000
N 4.808 6.626 0.000
N 6.156 1.884 3.203
F 0.085 7.765 0.000
F 1.214 0.070 1.220
F 1.214 0.070 5.186
F 2.441 4.812 1.983
F 2.441 4.812 4.424
F 3.570 3.023 3.203
F 3.739 6.461 3.203
F 4.869 4.672 1.983
F 4.869 4.672 4.424
F 6.096 9.414 1.220
F 6.096 9.414 5.186
F 7.225 1.719 0.000

---

Calculated values (eV per atom) of uncorrected energy for the records, taken in order: -6.143; -5.101; -5.144; -4.839; -5.070; -5.594; -5.237.